CsBr2F | PBE | relaxed

Lattice parameters (Å, degrees): 4.3923 4.3923 7.3726 90.00 90.00 90.00
Fractional positions:
Cs 0.0000 0.0000 0.0000
Br 0.5000 0.5000 0.3376
Br 0.5000 0.5000 0.6624
F 0.5000 0.5000 0.0000

Values from the calculation:
**Corrected total energy (MP2020 scheme)**: -3.01 eV per atom
**Space-group type**: P4/mmm, No. 123



Li2CeO3 | PBE | relaxed

Lattice parameters (Å, degrees): 5.5647 5.5647 5.9495 77.97 77.97 117.99
Fractional positions:
Li 0.7332 0.2668 0.7500
Li 0.4289 0.5711 0.7500
Li 0.2668 0.7332 0.2500
Li 0.5711 0.4289 0.2500
Ce 0.0900 0.9100 0.7500
Ce 0.9100 0.0900 0.2500
O 0.8396 0.6869 0.5235
O 0.6869 0.8396 0.0235
O 0.0000 0.5000 0.0000
O 0.3131 0.1604 0.9765
O 0.5000 0.0000 0.5000
O 0.1604 0.3131 0.4765

Values from the calculation:
**Magnetization**: 0.000 μB/cell
**Corrected total energy (MP2020 scheme)**: -7.05 eV per atom
**Space-group type**: C2/c, No. 15



Tl3PbBr5 | PBE | relaxed

Lattice parameters (Å, degrees): 8.7162 9.2414 15.6869 90.00 90.00 90.00
Fractional positions:
Tl 0.7722 0.7062 0.4488
Tl 0.2722 0.7938 0.5512
Tl 0.2278 0.2062 0.0512
Tl 0.7278 0.2938 0.9488
Tl 0.9130 0.1674 0.5221
Tl 0.4130 0.3326 0.4779
Tl 0.0870 0.6674 0.9779
Tl 0.5870 0.8326 0.0221
Tl 0.9359 0.0872 0.2151
Tl 0.4359 0.4128 0.7849
Tl 0.0641 0.5872 0.2849
Tl 0.5641 0.9128 0.7151
Pb 0.5767 0.4526 0.2054
Pb 0.0767 0.0474 0.7946
Pb 0.4233 0.9526 0.2946
Pb 0.9233 0.5474 0.7054
Br 0.7364 0.6538 0.8495
Br 0.2364 0.8462 0.1505
Br 0.2636 0.1538 0.6505
Br 0.7636 0.3462 0.3495
Br 0.2792 0.2889 0.2741
Br 0.7792 0.2111 0.7259
Br 0.7208 0.7889 0.2259
Br 0.2208 0.7111 0.7741
Br 0.9154 0.8526 0.6356
Br 0.4154 0.6474 0.3644
Br 0.0846 0.3526 0.8644
Br 0.5846 0.1474 0.1356
Br 0.6048 0.5552 0.6111
Br 0.1048 0.9448 0.3889
Br 0.3952 0.0552 0.8889
Br 0.8952 0.4448 0.1111
Br 0.0747 0.4967 0.5248
Br 0.5747 0.0033 0.4752
Br 0.9253 0.9967 0.9752
Br 0.4253 0.5033 0.0248

Values from the calculation:
**E above lowest polymorph**: 0 meV per atom
**Corrected total energy (MP2020 scheme)**: -3.30 eV per atom
**Space-group type**: P2_12_12_1, No. 19



LaCo2AsN | PBE | relaxed

Lattice parameters (Å, degrees): 5.8437 5.8437 6.9575 90.00 90.00 142.36
Fractional positions:
La 0.5433 0.4567 0.2500
La 0.4567 0.5433 0.7500
Co 0.8363 0.1637 0.4473
Co 0.1637 0.8363 0.5527
Co 0.8363 0.1637 0.0527
Co 0.1637 0.8363 0.9473
As 0.2698 0.7302 0.2500
As 0.7302 0.2698 0.7500
N 0.0000 0.0000 0.5000
N 0.0000 0.0000 0.0000

Values from the calculation:
**Magnetization**: 2.978 μB/cell
**Corrected total energy (MP2020 scheme)**: -7.23 eV per atom
**Space-group type**: Cmcm, No. 63



EuAg2Pb | PBE | relaxed

Lattice parameters (Å, degrees): 5.1840 5.1840 5.1840 60.00 60.00 60.00
Fractional positions:
Eu 0.5000 0.5000 0.5000
Ag 0.2500 0.2500 0.2500
Ag 0.7500 0.7500 0.7500
Pb 0.0000 0.0000 0.0000

Values from the calculation:
**Space-group type**: Fm-3m, No. 225



AlIn3Cu4Se8 | PBE | relaxed

Lattice parameters (Å, degrees): 5.8296 7.1160 10.8881 77.56 74.47 65.82
Fractional positions:
Al 0.2502 0.3751 0.1249
In 0.2498 0.8749 0.6250
In 0.4968 0.2508 0.7527
In 0.5032 0.7493 0.2471
Cu 0.7493 0.6230 0.8771
Cu 0.7506 0.1270 0.3729
Cu 0.9998 0.0006 0.0016
Cu 0.0001 0.4994 0.4984
Se 0.3641 0.6813 0.0516
Se 0.3761 0.2046 0.5465
Se 0.9012 0.4192 0.3140
Se 0.8747 0.9210 0.8300
Se 0.1031 0.3156 0.9517
Se 0.0932 0.8124 0.4363
Se 0.6600 0.5616 0.6870
Se 0.6278 0.0843 0.1831

Values from the calculation:
**E above lowest polymorph**: 0 meV per atom
**Magnetization**: 0.002 μB/cell
**Corrected total energy (MP2020 scheme)**: -4.23 eV per atom
**Space-group type**: P1, No. 1



NiP2S6 | PBE | relaxed

Lattice parameters (Å, degrees): 5.8233 5.8233 6.9733 82.26 82.26 119.99
Fractional positions:
Ni 0.6667 0.3333 0.0000
P 0.9471 0.9471 0.1625
P 0.0529 0.0529 0.8375
S 0.8894 0.5667 0.2325
S 0.7524 0.7168 0.7677
S 0.4333 0.1106 0.7675
S 0.6024 0.9606 0.2334
S 0.0394 0.3976 0.7666
S 0.2832 0.2476 0.2323

Values from the calculation:
**Piezoelectric modulus e_max**: 0.14 C/m²
**Magnetization**: 0.000 μB/cell
**Corrected total energy (MP2020 scheme)**: -5.06 eV per atom
**Space-group type**: C2, No. 5



KH3CSN2O | PBE | relaxed

Lattice parameters (Å, degrees): 12.7734 5.3170 9.3170 85.32 90.00 90.00
Fractional positions:
K 0.8315 0.2600 0.0319
K 0.1685 0.7400 0.9681
K 0.3315 0.7400 0.4681
K 0.6685 0.2600 0.5319
H 0.9276 0.7150 0.4672
H 0.0724 0.2850 0.5328
H 0.4276 0.2850 0.0328
H 0.5724 0.7150 0.9672
H 0.3148 0.8330 0.1551
H 0.6852 0.1670 0.8449
H 0.8148 0.1670 0.3449
H 0.1852 0.8330 0.6551
H 0.7716 0.1053 0.3032
H 0.2284 0.8947 0.6968
H 0.2716 0.8947 0.1968
H 0.7284 0.1053 0.8032
C 0.9524 0.7568 0.2424
C 0.0476 0.2432 0.7576
C 0.4524 0.2432 0.2576
C 0.5476 0.7568 0.7424
S 0.6430 0.6407 0.1810
S 0.3570 0.3593 0.8190
S 0.1430 0.3593 0.3190
S 0.8570 0.6407 0.6810
N 0.9505 0.7939 0.3667
N 0.0495 0.2061 0.6333
N 0.4505 0.2061 0.1333
N 0.5495 0.7939 0.8667
N 0.6816 0.9233 0.1661
N 0.3184 0.0767 0.8339
N 0.1816 0.0767 0.3339
N 0.8184 0.9233 0.6661
O 0.9576 0.7485 0.1135
O 0.0424 0.2515 0.8865
O 0.4576 0.2515 0.3865
O 0.5424 0.7485 0.6135

Values from the calculation:
**Magnetization**: 8.014 μB/cell
**Corrected total energy (MP2020 scheme)**: -5.36 eV per atom
**Space-group type**: P2_1/c, No. 14



NpN2 | PBE | relaxed

Lattice parameters (Å, degrees): 3.6939 3.6939 3.6939 60.00 60.00 60.00
Fractional positions:
Np 0.0000 0.0000 0.0000
N 0.7500 0.7500 0.7500
N 0.2500 0.2500 0.2500

Values from the calculation:
**Corrected total energy (MP2020 scheme)**: -11.07 eV per atom
**Space-group type**: Fm-3m, No. 225



Hg | PBE | relaxed

Lattice parameters (Å, degrees): 3.4044 3.4044 3.4044 109.47 109.47 109.47
Fractional positions:
Hg 0.0000 0.0000 0.0000

Values from the calculation:
**E above lowest polymorph**: 1 meV per atom
**Space-group type**: Im-3m, No. 229



Al6B5O18 | PBE | relaxed

Lattice parameters (Å, degrees): 9.2530 9.2530 8.6407 90.00 90.00 120.00
Fractional positions:
Al 0.6562 0.6399 0.4550
Al 0.9836 0.3438 0.4550
Al 0.3601 0.0164 0.4550
Al 0.3438 0.3601 0.9550
Al 0.0164 0.6562 0.9550
Al 0.6399 0.9836 0.9550
Al 0.3438 0.3601 0.5450
Al 0.0164 0.6562 0.5450
Al 0.6399 0.9836 0.5450
Al 0.6562 0.6399 0.0450
Al 0.9836 0.3438 0.0450
Al 0.3601 0.0164 0.0450
B 0.1544 0.8734 0.7500
B 0.7190 0.8456 0.7500
B 0.1266 0.2810 0.7500
B 0.8456 0.1266 0.2500
B 0.2810 0.1544 0.2500
B 0.8734 0.7190 0.2500
B 0.3333 0.6667 0.4557
B 0.6667 0.3333 0.9557
B 0.6667 0.3333 0.5443
B 0.3333 0.6667 0.0443
O 0.6803 0.6612 0.2500
O 0.9809 0.3197 0.2500
O 0.3388 0.0191 0.2500
O 0.3197 0.3388 0.7500
O 0.0191 0.6803 0.7500
O 0.6612 0.9809 0.7500
O 0.8710 0.6704 0.4200
O 0.7995 0.1290 0.4200
O 0.3296 0.2005 0.4200
O 0.1290 0.3296 0.9200
O 0.2005 0.8710 0.9200
O 0.6704 0.7995 0.9200
O 0.1290 0.3296 0.5800
O 0.2005 0.8710 0.5800
O 0.6704 0.7995 0.5800
O 0.8710 0.6704 0.0800
O 0.7995 0.1290 0.0800
O 0.3296 0.2005 0.0800
O 0.5910 0.4334 0.5449
O 0.8424 0.4090 0.5449
O 0.5666 0.1576 0.5449
O 0.4090 0.5666 0.0449
O 0.1576 0.5910 0.0449
O 0.4334 0.8424 0.0449
O 0.4090 0.5666 0.4551
O 0.1576 0.5910 0.4551
O 0.4334 0.8424 0.4551
O 0.5910 0.4334 0.9551
O 0.8424 0.4090 0.9551
O 0.5666 0.1576 0.9551
O 0.1758 0.0301 0.7500
O 0.8543 0.8242 0.7500
O 0.9699 0.1457 0.7500
O 0.8242 0.9699 0.2500
O 0.1457 0.1758 0.2500
O 0.0301 0.8543 0.2500

Values from the calculation:
**E above lowest polymorph**: 227 meV per atom
**Magnetization**: 6.000 μB/cell
**Corrected total energy (MP2020 scheme)**: -7.69 eV per atom
**Space-group type**: P6_3/m, No. 176



TbFe11Re | PBE | relaxed

Lattice parameters (Å, degrees): 4.6778 6.4672 6.4672 97.99 111.20 68.80
Fractional positions:
Tb 0.0056 0.9944 0.0056
Fe 0.7285 0.7715 0.2285
Fe 0.2710 0.2290 0.7710
Fe 0.4984 0.7772 0.7739
Fe 0.4984 0.2261 0.2228
Fe 0.5004 0.9990 0.5000
Fe 0.0006 0.9990 0.5000
Fe 0.5004 0.5000 0.0010
Fe 0.0006 0.5000 0.0010
Fe 0.3602 0.6398 0.3602
Fe 0.9991 0.3601 0.3583
Fe 0.9991 0.6417 0.6399
Re 0.6378 0.3622 0.6378

Values from the calculation:
**Magnetization**: 22.081 μB/cell
**Space-group type**: Imm2, No. 44



LuInAg2 | PBE | relaxed

Lattice parameters (Å, degrees): 4.9021 4.9021 4.9021 60.00 60.00 60.00
Fractional positions:
Lu 0.0000 0.0000 0.0000
In 0.5000 0.5000 0.5000
Ag 0.7500 0.7500 0.7500
Ag 0.2500 0.2500 0.2500

Values from the calculation:
**Space-group type**: Fm-3m, No. 225



LuIO9 | PBE | relaxed

Lattice parameters (Å, degrees): 10.7871 7.2584 10.4899 56.36 90.00 90.00
Fractional positions:
Lu 0.5911 0.8253 0.1804
Lu 0.4089 0.1747 0.8196
Lu 0.0911 0.1747 0.3196
Lu 0.9089 0.8253 0.6804
I 0.8151 0.0264 0.2661
I 0.1849 0.9736 0.7339
I 0.3151 0.9736 0.2339
I 0.6849 0.0264 0.7661
O 0.9277 0.9248 0.4386
O 0.0723 0.0752 0.5614
O 0.4277 0.0752 0.0614
O 0.5723 0.9248 0.9386
O 0.2289 0.9117 0.4067
O 0.7711 0.0883 0.5933
O 0.7289 0.0883 0.0933
O 0.2711 0.9117 0.9067
O 0.7265 0.5266 0.1957
O 0.2735 0.4734 0.8043
O 0.2265 0.4734 0.3043
O 0.7735 0.5266 0.6957
O 0.7288 0.7586 0.3719
O 0.2712 0.2414 0.6281
O 0.2288 0.2414 0.1281
O 0.7712 0.7586 0.8719
O 0.5300 0.4626 0.2901
O 0.4700 0.5374 0.7099
O 0.0300 0.5374 0.2099
O 0.9700 0.4626 0.7901
O 0.4542 0.3845 0.2332
O 0.5458 0.6155 0.7668
O 0.9542 0.6155 0.2668
O 0.0458 0.3845 0.7332
O 0.2130 0.8069 0.1909
O 0.7870 0.1931 0.8091
O 0.7130 0.1931 0.3091
O 0.2870 0.8069 0.6909
O 0.4459 0.7874 0.3442
O 0.5541 0.2126 0.6558
O 0.9459 0.2126 0.1558
O 0.0541 0.7874 0.8442
O 0.9446 0.8327 0.1788
O 0.0554 0.1673 0.8212
O 0.4446 0.1673 0.3212
O 0.5554 0.8327 0.6788

Values from the calculation:
**Magnetization**: 7.999 μB/cell
**Space-group type**: P2_1/c, No. 14



Rb2PdCl4 | PBE | relaxed

Lattice parameters (Å, degrees): 7.3125 7.3125 4.5029 90.00 90.00 90.00
Fractional positions:
Rb 0.5000 0.0000 0.5000
Rb 0.0000 0.5000 0.5000
Pd 0.0000 0.0000 0.0000
Cl 0.2261 0.2261 0.0000
Cl 0.7739 0.7739 0.0000
Cl 0.2261 0.7739 0.0000
Cl 0.7739 0.2261 0.0000

Values from the calculation:
**Corrected total energy (MP2020 scheme)**: -3.81 eV per atom
**Space-group type**: P4/mmm, No. 123



Ho3Ga4Co2 | PBE | relaxed

Lattice parameters (Å, degrees): 4.2564 5.6859 15.2651 82.49 98.01 111.98
Fractional positions:
Ho 0.7168 0.6980 0.7356
Ho 0.3825 0.6897 0.0752
Ho 0.0452 0.7012 0.3892
Ho 0.6183 0.2990 0.9376
Ho 0.2852 0.3032 0.2671
Ho 0.9504 0.3012 0.5997
Ga 0.6061 0.6787 0.5334
Ga 0.2765 0.6795 0.8736
Ga 0.0968 0.1097 0.0840
Ga 0.7658 0.1193 0.4123
Ga 0.4338 0.1214 0.7461
Ga 0.5715 0.8942 0.2489
Ga 0.2445 0.9062 0.5829
Ga 0.9161 0.9098 0.9223
Co 0.7237 0.3096 0.1378
Co 0.3745 0.2880 0.4610
Co 0.0450 0.2955 0.7946
Co 0.9473 0.6959 0.1987

Values from the calculation:
**Magnetization**: 1.127 μB/cell
**Space-group type**: Cm, No. 8



Al2O3 | PBE | relaxed

Lattice parameters (Å, degrees): 11.5534 3.4001 5.2076 72.38 90.00 90.00
Fractional positions:
Al 0.6625 0.3868 0.6907
Al 0.9445 0.1609 0.7133
Al 0.4445 0.8391 0.7867
Al 0.1625 0.6132 0.8093
Al 0.8375 0.3868 0.1907
Al 0.5555 0.1609 0.2133
Al 0.0555 0.8391 0.2867
Al 0.3375 0.6132 0.3093
O 0.6147 0.9442 0.5610
O 0.8043 0.3384 0.5410
O 0.4982 0.3265 0.8159
O 0.9982 0.6735 0.6841
O 0.1147 0.0558 0.9390
O 0.3043 0.6616 0.9590
O 0.6957 0.3384 0.0410
O 0.8853 0.9442 0.0610
O 0.0018 0.3265 0.3159
O 0.5018 0.6735 0.1841
O 0.1957 0.6616 0.4590
O 0.3853 0.0558 0.4390

Values from the calculation:
**Corrected total energy (MP2020 scheme)**: -7.80 eV per atom
**Space-group type**: P2_1/c, No. 14



| no. | energy of formation from the pure elements (eV per formula unit) |
| --- | --- |
| 1 | -5.954 |
| 2 | -17.701 |
| 3 | -10.747 |
| 4 | -4.006 |
| 5 | -1.095 |
| 6 | -11.377 |
| 7 | -4.151 |
| 8 | -1.921 |
| 9 | -3.582 |
| 10 | 0.001 |
| 11 | -78.045 |
| 12 | -0.192 |
| 13 | -1.340 |
| 14 | -5.123 |
| 15 | -12.134 |
| 16 | -4.641 |
| 17 | -16.689 |